A geometry-optimized SrCuO2 structure. Source: Materials Project, functional GGA-PBE.

Results
- ΔH_f (0 K) (meV per atom) = -2063.7
- space-group type = P4/mmm, No. 123
- calculated total energy (eV for the cell shown) = -22.566

Cell lengths 3.9478, 3.9478, 3.4850 Å; angles 90.00, 90.00, 90.00 degrees
Closest atoms and distances in Å follow each position.
Sites, in units of the cell vectors:
Sr: 0.0000 0.0000 0.0000  8 O 2.63
Cu: 0.5000 0.5000 0.5000  4 O 1.97
O: 0.0000 0.5000 0.5000  2 Cu 1.97
O: 0.5000 0.0000 0.5000  2 Cu 1.97

A geometry-optimized Sr2TaCu2O7 structure. Source: Materials Project, functional GGA-PBE.

Results
- ΔH_f (0 K) (meV per atom) = -2178.0
- space-group type = Ima2, No. 46
- calculated total energy (eV for the cell shown) = -158.795

Cell lengths 13.5232, 13.5232, 13.5232 Å; angles 33.12, 156.79, 156.70 degrees
Closest atoms and distances in Å follow each position.
Sites, in units of the cell vectors:
Sr: 0.0139 0.1281 0.1420  4 O 2.35-2.39
Sr: 0.0139 0.3719 0.3859  4 O 2.35-2.39
Sr: 0.9861 0.6281 0.6141  4 O 2.35-2.39
Sr: 0.9861 0.8719 0.8580  4 O 2.35-2.39
Ta: 0.3387 0.6709 0.1678  4 O 1.81-1.96
Ta: 0.5030 0.1709 0.8322  4 O 1.81-1.96
Cu: 0.5012 0.5656 0.0568  4 O 1.96-1.97
Cu: 0.5012 0.9444 0.4356  4 O 1.96-1.97
Cu: 0.5088 0.0656 0.5644  4 O 1.96-1.97
Cu: 0.5088 0.4444 0.9432  4 O 1.96-1.97
O: 0.0052 0.1817 0.6777  2 Cu 1.97
O: 0.0052 0.8275 0.3235  2 Cu 1.97
O: 0.0055 0.3317 0.8283  2 Cu 1.96
O: 0.0055 0.6773 0.1739  2 Cu 1.96
O: 0.1512 0.8112 0.8399  2 Ta 1.94-1.96
O: 0.4976 0.2381 0.6422  1 Ta 1.81
O: 0.4976 0.3554 0.7595  1 Ta 1.81
O: 0.5034 0.1773 0.1717  2 Cu 1.96
O: 0.5034 0.8317 0.8261  2 Cu 1.96
O: 0.5040 0.3275 0.3223  2 Cu 1.97
O: 0.5040 0.6817 0.6765  2 Cu 1.97
O: 0.5959 0.7381 0.2405  1 Ta 1.81
O: 0.5959 0.8554 0.3578  1 Ta 1.81
O: 0.9713 0.3112 0.1601  2 Ta 1.94-1.96

A geometry-optimized Sr2YTaCu2O7 structure. Source: Materials Project, functional GGA-PBE.

Results
- ΔH_f (0 K) (meV per atom) = -2619.8
- space-group type = Cm, No. 8
- calculated total energy (eV for the cell shown) = -187.572

Cell lengths 12.5238, 12.5238, 5.5664 Å; angles 102.44, 102.44, 143.65 degrees
Closest atoms and distances in Å follow each position.
Sites, in units of the cell vectors:
Sr: 0.1107 0.8893 0.0000  6 O 2.56-2.86
Sr: 0.3384 0.5643 0.9517  5 O 2.53-2.76
Sr: 0.5643 0.3384 0.9517  5 O 2.53-2.76
Sr: 0.8893 0.1107 0.0000  6 O 2.56-2.86
Y: 0.2248 0.7272 0.9837  6 O 2.36-2.58
Y: 0.7272 0.2248 0.9837  6 O 2.36-2.58
Ta: 0.5629 0.5629 0.4979  4 O 1.87-2.01
Ta: 0.8949 0.8949 0.4171  4 O 1.86-2.04
Cu: 0.1632 0.7822 0.4809  4 O 1.94-2.04
Cu: 0.2890 0.6696 0.4880  4 O 1.96-2.02
Cu: 0.6696 0.2890 0.4880  4 O 1.96-2.02
Cu: 0.7822 0.1632 0.4809  4 O 1.94-2.04
O: 0.0212 0.3946 0.4499  2 Cu 1.96-1.98
O: 0.0540 0.4318 0.9865  2 Cu 2.02-2.04
O: 0.1159 0.9788 0.6050  1 Ta 1.86
O: 0.3609 0.5025 0.4306  1 Ta 1.87
O: 0.3946 0.0212 0.4499  2 Cu 1.96-1.98
O: 0.4318 0.0540 0.9865  2 Cu 2.02-2.04
O: 0.5025 0.3609 0.4306  1 Ta 1.87
O: 0.5216 0.8937 0.9840  2 Cu 2.00-2.01
O: 0.5362 0.5362 0.1121  2 Ta 2.01-2.04
O: 0.5612 0.9341 0.5264  2 Cu 1.94-1.96
O: 0.8165 0.8165 0.9919  2 Ta 1.99
O: 0.8937 0.5216 0.9840  2 Cu 2.00-2.01
O: 0.9341 0.5612 0.5264  2 Cu 1.94-1.96
O: 0.9788 0.1159 0.6050  1 Ta 1.86

Please write out number 1 again, unchanged.
A geometry-optimized SrCuO2 structure. Source: Materials Project, functional GGA-PBE.

Results
- ΔH_f (0 K) (meV per atom) = -2063.7
- space-group type = P4/mmm, No. 123
- calculated total energy (eV for the cell shown) = -22.566

Cell lengths 3.9478, 3.9478, 3.4850 Å; angles 90.00, 90.00, 90.00 degrees
Closest atoms and distances in Å follow each position.
Sites, in units of the cell vectors:
Sr: 0.0000 0.0000 0.0000  8 O 2.63
Cu: 0.5000 0.5000 0.5000  4 O 1.97
O: 0.0000 0.5000 0.5000  2 Cu 1.97
O: 0.5000 0.0000 0.5000  2 Cu 1.97